#P
# BaNaCeNbO6, relaxed, DFT PBE
data_BaNaCeNbO6
_chemical_formula_sum 'Ba1 Na1 Ce1 Nb1 O6'
_symmetry_space_group_name_H-M 'P 1'
_symmetry_Int_Tables_number 1
_cell_length_a 6.028
_cell_length_b 6.028
_cell_length_c 6.028
_cell_angle_alpha 60.00
_cell_angle_beta 60.00
_cell_angle_gamma 60.00
loop_
_symmetry_equiv_pos_as_xyz
'x,y,z'
loop_
_atom_site_label
_atom_site_fract_x
_atom_site_fract_y
_atom_site_fract_z
Ba1 0.000 0.000 0.000
Na1 0.500 0.500 0.500
Ce1 0.250 0.250 0.250
Nb1 0.750 0.750 0.750
O1 0.513 0.513 0.987
O2 0.513 0.987 0.513
O3 0.513 0.987 0.987
O4 0.987 0.513 0.513
O5 0.987 0.513 0.987
O6 0.987 0.987 0.513
# Space group   No. 216
# Calculated density   5.25 g cm⁻³
# Calculated volume   15.5 Å³ per atom

#Q
# BaNaCeNbO6, relaxed, DFT PBE
data_BaNaCeNbO6
_chemical_formula_sum 'Ba4 Na4 Ce4 Nb4 O24'
_symmetry_space_group_name_H-M 'P 1'
_symmetry_Int_Tables_number 1
_cell_length_a 8.475
_cell_length_b 8.509
_cell_length_c 8.522
_cell_angle_alpha 90.00
_cell_angle_beta 90.00
_cell_angle_gamma 90.00
loop_
_symmetry_equiv_pos_as_xyz
'x,y,z'
loop_
_atom_site_label
_atom_site_fract_x
_atom_site_fract_y
_atom_site_fract_z
Ba1 0.250 0.250 0.250
Ba2 0.250 0.250 0.750
Ba3 0.750 0.750 0.250
Ba4 0.750 0.750 0.750
Na1 0.250 0.750 0.250
Na2 0.250 0.750 0.750
Na3 0.750 0.250 0.250
Na4 0.750 0.250 0.750
Ce1 0.000 0.000 0.000
Ce2 0.000 0.500 0.500
Ce3 0.500 0.000 0.500
Ce4 0.500 0.500 0.000
Nb1 0.000 0.000 0.500
Nb2 0.000 0.500 0.000
Nb3 0.500 0.000 0.000
Nb4 0.500 0.500 0.500
O1 0.011 0.737 0.019
O2 0.011 0.763 0.481
O3 0.018 0.518 0.764
O4 0.018 0.982 0.736
O5 0.237 0.022 0.485
O6 0.237 0.478 0.015
O7 0.263 0.022 0.015
O8 0.263 0.478 0.485
O9 0.482 0.518 0.736
O10 0.482 0.982 0.764
O11 0.489 0.737 0.481
O12 0.489 0.763 0.019
O13 0.511 0.237 0.981
O14 0.511 0.263 0.519
O15 0.518 0.018 0.236
O16 0.518 0.482 0.264
O17 0.737 0.522 0.515
O18 0.737 0.978 0.985
O19 0.763 0.522 0.985
O20 0.763 0.978 0.515
O21 0.982 0.018 0.264
O22 0.982 0.482 0.236
O23 0.989 0.237 0.519
O24 0.989 0.263 0.981
# Space group   No. 48
# Calculated density   5.29 g cm⁻³
# Calculated volume   15.4 Å³ per atom

The computed energies, referenced to the most stable structure and given in kJ/mol of atoms, are #P 0.6; #Q 0.0.

#P
# BaCaLaBiO6, relaxed, DFT PBE
data_BaCaLaBiO6
_chemical_formula_sum 'Ba4 Ca4 La4 Bi4 O24'
_symmetry_space_group_name_H-M 'P 1'
_symmetry_Int_Tables_number 1
_cell_length_a 8.589
_cell_length_b 8.624
_cell_length_c 8.648
_cell_angle_alpha 90.00
_cell_angle_beta 90.00
_cell_angle_gamma 90.00
loop_
_symmetry_equiv_pos_as_xyz
'x,y,z'
loop_
_atom_site_label
_atom_site_fract_x
_atom_site_fract_y
_atom_site_fract_z
Ba1 0.250 0.250 0.250
Ba2 0.250 0.750 0.750
Ba3 0.750 0.250 0.250
Ba4 0.750 0.750 0.750
Ca1 0.000 0.000 0.000
Ca2 0.000 0.500 0.500
Ca3 0.500 0.000 0.500
Ca4 0.500 0.500 0.000
La1 0.250 0.250 0.750
La2 0.250 0.750 0.250
La3 0.750 0.250 0.750
La4 0.750 0.750 0.250
Bi1 0.000 0.000 0.500
Bi2 0.000 0.500 0.000
Bi3 0.500 0.000 0.000
Bi4 0.500 0.500 0.500
O1 0.037 0.241 0.475
O2 0.037 0.259 0.025
O3 0.060 0.039 0.739
O4 0.060 0.461 0.761
O5 0.239 0.549 0.056
O6 0.239 0.951 0.444
O7 0.261 0.549 0.444
O8 0.261 0.951 0.056
O9 0.440 0.039 0.761
O10 0.440 0.461 0.739
O11 0.463 0.241 0.025
O12 0.463 0.259 0.475
O13 0.537 0.741 0.525
O14 0.537 0.759 0.975
O15 0.560 0.539 0.261
O16 0.560 0.961 0.239
O17 0.739 0.049 0.944
O18 0.739 0.451 0.556
O19 0.761 0.049 0.556
O20 0.761 0.451 0.944
O21 0.940 0.539 0.239
O22 0.940 0.961 0.261
O23 0.963 0.741 0.975
O24 0.963 0.759 0.525
# Space group   No. 48
# Calculated density   6.44 g cm⁻³
# Calculated volume   16.0 Å³ per atom

#Q
# BaCaLaBiO6, relaxed, DFT PBE
data_BaCaLaBiO6
_chemical_formula_sum 'Ba4 Ca4 La4 Bi4 O24'
_symmetry_space_group_name_H-M 'P 1'
_symmetry_Int_Tables_number 1
_cell_length_a 8.682
_cell_length_b 8.706
_cell_length_c 8.755
_cell_angle_alpha 90.00
_cell_angle_beta 90.00
_cell_angle_gamma 90.00
loop_
_symmetry_equiv_pos_as_xyz
'x,y,z'
loop_
_atom_site_label
_atom_site_fract_x
_atom_site_fract_y
_atom_site_fract_z
Ba1 0.000 0.000 0.000
Ba2 0.000 0.000 0.500
Ba3 0.500 0.000 0.000
Ba4 0.500 0.500 0.000
Ca1 0.000 0.500 0.000
Ca2 0.000 0.500 0.500
Ca3 0.500 0.000 0.500
Ca4 0.500 0.500 0.500
La1 0.250 0.254 0.254
La2 0.250 0.746 0.746
La3 0.750 0.254 0.746
La4 0.750 0.746 0.254
Bi1 0.252 0.255 0.743
Bi2 0.252 0.745 0.257
Bi3 0.748 0.255 0.257
Bi4 0.748 0.745 0.743
O1 0.015 0.300 0.687
O2 0.015 0.700 0.313
O3 0.200 0.307 0.981
O4 0.200 0.693 0.019
O5 0.211 0.015 0.781
O6 0.211 0.985 0.219
O7 0.302 0.192 0.511
O8 0.302 0.808 0.489
O9 0.305 0.489 0.691
O10 0.305 0.511 0.309
O11 0.488 0.226 0.797
O12 0.488 0.774 0.203
O13 0.512 0.226 0.203
O14 0.512 0.774 0.797
O15 0.695 0.489 0.309
O16 0.695 0.511 0.691
O17 0.698 0.192 0.489
O18 0.698 0.808 0.511
O19 0.789 0.015 0.219
O20 0.789 0.985 0.781
O21 0.800 0.307 0.019
O22 0.800 0.693 0.981
O23 0.985 0.300 0.313
O24 0.985 0.700 0.687
# Space group   No. 16
# Calculated density   6.24 g cm⁻³
# Calculated volume   16.5 Å³ per atom

The computed energies, referenced to the most stable structure and given in kJ/mol of atoms, are #P 0.0; #Q 2.0.

#P
# Rb2Be2O3, relaxed, DFT PBE
data_Rb2Be2O3
_chemical_formula_sum 'Rb8 Be8 O12'
_symmetry_space_group_name_H-M 'P 1'
_symmetry_Int_Tables_number 1
_cell_length_a 7.578
_cell_length_b 7.578
_cell_length_c 7.392
_cell_angle_alpha 90.00
_cell_angle_beta 90.00
_cell_angle_gamma 90.00
loop_
_symmetry_equiv_pos_as_xyz
'x,y,z'
loop_
_atom_site_label
_atom_site_fract_x
_atom_site_fract_y
_atom_site_fract_z
Rb1 0.004 0.246 0.137
Rb2 0.246 0.004 0.863
Rb3 0.254 0.504 0.387
Rb4 0.496 0.746 0.113
Rb5 0.504 0.254 0.613
Rb6 0.746 0.496 0.887
Rb7 0.754 0.996 0.363
Rb8 0.996 0.754 0.637
Be1 0.033 0.720 0.158
Be2 0.220 0.467 0.908
Be3 0.280 0.967 0.342
Be4 0.467 0.220 0.092
Be5 0.533 0.780 0.592
Be6 0.720 0.033 0.842
Be7 0.780 0.533 0.408
Be8 0.967 0.280 0.658
O1 0.113 0.887 0.250
O2 0.128 0.633 0.994
O3 0.133 0.372 0.744
O4 0.367 0.872 0.506
O5 0.372 0.133 0.256
O6 0.387 0.387 0.000
O7 0.613 0.613 0.500
O8 0.628 0.867 0.756
O9 0.633 0.128 0.006
O10 0.867 0.628 0.244
O11 0.872 0.367 0.494
O12 0.887 0.113 0.750
# Space group   No. 92
# Calculated density   3.71 g cm⁻³
# Calculated volume   15.2 Å³ per atom

#Q
# Rb2Be2O3, relaxed, DFT PBE
data_Rb2Be2O3
_chemical_formula_sum 'Rb4 Be4 O6'
_symmetry_space_group_name_H-M 'P 1'
_symmetry_Int_Tables_number 1
_cell_length_a 4.978
_cell_length_b 8.816
_cell_length_c 6.588
_cell_angle_alpha 90.00
_cell_angle_beta 114.71
_cell_angle_gamma 90.00
loop_
_symmetry_equiv_pos_as_xyz
'x,y,z'
loop_
_atom_site_label
_atom_site_fract_x
_atom_site_fract_y
_atom_site_fract_z
Rb1 0.220 0.152 0.428
Rb2 0.220 0.348 0.928
Rb3 0.780 0.652 0.072
Rb4 0.780 0.848 0.572
Be1 0.302 0.507 0.503
Be2 0.302 0.993 0.003
Be3 0.698 0.007 0.997
Be4 0.698 0.493 0.497
O1 0.000 0.000 0.000
O2 0.000 0.500 0.500
O3 0.396 0.551 0.308
O4 0.396 0.949 0.808
O5 0.604 0.051 0.192
O6 0.604 0.449 0.692
# Space group   No. 14
# Calculated density   3.00 g cm⁻³
# Calculated volume   18.8 Å³ per atom

The computed energies, referenced to the most stable structure and given in kJ/mol of atoms, are #P 1.9; #Q 0.0.

#P
# K3CoC6N6, relaxed, DFT PBE
data_K3CoC6N6
_chemical_formula_sum 'K24 Co8 C48 N48'
_symmetry_space_group_name_H-M 'P 1'
_symmetry_Int_Tables_number 1
_cell_length_a 26.712
_cell_length_b 10.365
_cell_length_c 8.349
_cell_angle_alpha 90.00
_cell_angle_beta 90.00
_cell_angle_gamma 90.00
loop_
_symmetry_equiv_pos_as_xyz
'x,y,z'
loop_
_atom_site_label
_atom_site_fract_x
_atom_site_fract_y
_atom_site_fract_z
K1 0.000 0.000 0.000
K2 0.000 0.500 0.500
K3 0.125 0.226 0.746
K4 0.125 0.274 0.246
K5 0.127 0.709 0.485
K6 0.127 0.791 0.985
K7 0.250 0.001 0.739
K8 0.250 0.499 0.239
K9 0.371 0.236 0.983
K10 0.371 0.264 0.483
K11 0.372 0.744 0.244
K12 0.372 0.756 0.744
K13 0.500 0.000 0.994
K14 0.500 0.500 0.494
K15 0.628 0.244 0.744
K16 0.628 0.256 0.244
K17 0.629 0.736 0.483
K18 0.629 0.764 0.983
K19 0.750 0.501 0.239
K20 0.750 0.999 0.739
K21 0.873 0.209 0.985
K22 0.873 0.291 0.485
K23 0.875 0.726 0.246
K24 0.875 0.774 0.746
Co1 0.000 0.000 0.490
Co2 0.000 0.500 0.990
Co3 0.250 0.001 0.240
Co4 0.250 0.499 0.740
Co5 0.500 0.000 0.487
Co6 0.500 0.500 0.987
Co7 0.750 0.501 0.740
Co8 0.750 0.999 0.240
C1 0.029 0.168 0.489
C2 0.029 0.332 0.989
C3 0.047 0.550 0.834
C4 0.047 0.551 0.145
C5 0.047 0.949 0.645
C6 0.047 0.950 0.334
C7 0.202 0.048 0.081
C8 0.202 0.452 0.581
C9 0.203 0.052 0.395
C10 0.203 0.448 0.895
C11 0.222 0.665 0.746
C12 0.222 0.835 0.246
C13 0.278 0.166 0.234
C14 0.278 0.334 0.734
C15 0.296 0.552 0.588
C16 0.296 0.948 0.088
C17 0.297 0.549 0.898
C18 0.297 0.951 0.398
C19 0.452 0.052 0.333
C20 0.452 0.448 0.833
C21 0.454 0.051 0.644
C22 0.454 0.449 0.144
C23 0.471 0.667 0.990
C24 0.471 0.833 0.490
C25 0.529 0.167 0.490
C26 0.529 0.333 0.990
C27 0.546 0.551 0.144
C28 0.546 0.949 0.644
C29 0.548 0.552 0.833
C30 0.548 0.948 0.333
C31 0.703 0.049 0.398
C32 0.703 0.451 0.898
C33 0.704 0.052 0.088
C34 0.704 0.448 0.588
C35 0.722 0.666 0.734
C36 0.722 0.834 0.234
C37 0.778 0.165 0.246
C38 0.778 0.335 0.746
C39 0.797 0.552 0.895
C40 0.797 0.948 0.395
C41 0.798 0.548 0.581
C42 0.798 0.952 0.081
C43 0.953 0.050 0.334
C44 0.953 0.051 0.645
C45 0.953 0.449 0.145
C46 0.953 0.450 0.834
C47 0.971 0.668 0.989
C48 0.971 0.832 0.489
N1 0.048 0.230 0.988
N2 0.048 0.270 0.488
N3 0.077 0.581 0.739
N4 0.077 0.584 0.241
N5 0.077 0.916 0.741
N6 0.077 0.919 0.239
N7 0.173 0.078 0.984
N8 0.173 0.422 0.484
N9 0.175 0.082 0.497
N10 0.175 0.418 0.997
N11 0.204 0.732 0.248
N12 0.204 0.768 0.748
N13 0.296 0.231 0.730
N14 0.296 0.269 0.230
N15 0.325 0.584 0.489
N16 0.325 0.916 0.989
N17 0.328 0.578 0.994
N18 0.328 0.922 0.494
N19 0.422 0.086 0.237
N20 0.422 0.414 0.737
N21 0.425 0.083 0.741
N22 0.425 0.417 0.241
N23 0.452 0.730 0.491
N24 0.452 0.770 0.991
N25 0.548 0.230 0.991
N26 0.548 0.270 0.491
N27 0.575 0.583 0.241
N28 0.575 0.917 0.741
N29 0.578 0.586 0.737
N30 0.578 0.914 0.237
N31 0.672 0.078 0.494
N32 0.672 0.422 0.994
N33 0.675 0.084 0.989
N34 0.675 0.416 0.489
N35 0.704 0.731 0.230
N36 0.704 0.769 0.730
N37 0.796 0.232 0.748
N38 0.796 0.268 0.248
N39 0.825 0.582 0.997
N40 0.825 0.918 0.497
N41 0.827 0.578 0.484
N42 0.827 0.922 0.984
N43 0.923 0.081 0.239
N44 0.923 0.084 0.741
N45 0.923 0.416 0.241
N46 0.923 0.419 0.739
N47 0.952 0.730 0.488
N48 0.952 0.770 0.988
# Space group   No. 30
# Calculated density   1.91 g cm⁻³
# Calculated volume   18.1 Å³ per atom

#Q
# K3CoC6N6, relaxed, DFT PBE
data_K3CoC6N6
_chemical_formula_sum 'K6 Co2 C12 N12'
_symmetry_space_group_name_H-M 'P 1'
_symmetry_Int_Tables_number 1
_cell_length_a 7.148
_cell_length_b 10.488
_cell_length_c 8.434
_cell_angle_alpha 90.00
_cell_angle_beta 107.39
_cell_angle_gamma 90.00
loop_
_symmetry_equiv_pos_as_xyz
'x,y,z'
loop_
_atom_site_label
_atom_site_fract_x
_atom_site_fract_y
_atom_site_fract_z
K1 0.000 0.000 0.000
K2 0.000 0.500 0.500
K3 0.498 0.220 0.875
K4 0.498 0.280 0.375
K5 0.502 0.720 0.625
K6 0.502 0.780 0.125
Co1 0.000 0.000 0.500
Co2 0.000 0.500 0.000
C1 0.119 0.161 0.526
C2 0.119 0.339 0.026
C3 0.176 0.556 0.888
C4 0.176 0.944 0.388
C5 0.179 0.550 0.203
C6 0.179 0.950 0.703
C7 0.821 0.050 0.297
C8 0.821 0.450 0.797
C9 0.824 0.056 0.612
C10 0.824 0.444 0.112
C11 0.881 0.661 0.974
C12 0.881 0.839 0.474
N1 0.199 0.240 0.045
N2 0.199 0.260 0.545
N3 0.284 0.592 0.816
N4 0.284 0.908 0.316
N5 0.291 0.578 0.331
N6 0.291 0.922 0.831
N7 0.709 0.078 0.169
N8 0.709 0.422 0.669
N9 0.716 0.092 0.684
N10 0.716 0.408 0.184
N11 0.801 0.740 0.455
N12 0.801 0.760 0.955
# Space group   No. 14
# Calculated density   1.83 g cm⁻³
# Calculated volume   18.9 Å³ per atom

The computed energies, referenced to the most stable structure and given in kJ/mol of atoms, are #P 0.7; #Q 0.0.